Below is an optimized crystal structure of Cr3Co2O12, with properties calculated at the GGA+U level.

Summary:
space-group type: Pbcn
total energy after the MP2020 corrections: -7.4412 eV per atom
electronic total energy: -6.4108 eV/atom
polymorph energy (0 for the lowest one): 0.053 eV per atom
calculated volume: 14.96 Å³ per atom

Cell and atoms, written as extended XYZ:
```
68
Lattice="12.5822 0.0000 0.0000 0.0000 9.0344 0.0000 0.0000 0.0000 8.9494" Properties=species:S:1:pos:R:3 pbc="T T T"
Cr 0.0000 0.2786 2.2373
Cr 0.0000 8.7557 6.7120
Cr 1.8130 3.5907 5.4030
Cr 1.8130 5.4437 0.9283
Cr 4.4781 0.9265 0.9283
Cr 4.4781 8.1079 5.4030
Cr 6.2911 4.2385 6.7120
Cr 6.2911 4.7958 2.2373
Cr 8.1040 0.9265 3.5464
Cr 8.1040 8.1079 8.0211
Cr 10.7692 3.5907 8.0211
Cr 10.7692 5.4437 3.5464
Co 1.5457 2.2659 8.6875
Co 1.5457 6.7685 4.2128
Co 4.7454 2.2513 4.2128
Co 4.7454 6.7831 8.6875
Co 7.8368 2.2513 0.2619
Co 7.8368 6.7831 4.7365
Co 11.0365 2.2659 4.7365
Co 11.0365 6.7685 0.2619
O 0.2926 3.1148 5.0038
O 0.2926 5.9196 0.5291
O 0.8997 0.7033 7.7245
O 0.8997 8.3311 3.2498
O 1.0434 1.2384 1.3882
O 1.0434 7.7960 5.8629
O 1.9642 3.7543 0.7939
O 1.9642 5.2801 5.2686
O 2.1520 3.1480 6.9575
O 2.1520 5.8863 2.4828
O 2.8840 2.9161 4.3271
O 2.8840 6.1183 8.8018
O 3.4071 1.6011 8.8018
O 3.4071 7.4333 4.3271
O 4.1391 1.3692 2.4828
O 4.1391 7.6652 6.9575
O 4.3269 0.7629 5.2686
O 4.3269 8.2715 0.7939
O 5.2477 3.2788 5.8629
O 5.2477 5.7556 1.3882
O 5.3914 3.8139 3.2498
O 5.3914 5.2205 7.7245
O 5.9984 1.4024 0.5291
O 5.9984 7.6320 5.0038
O 6.5837 1.4024 3.9456
O 6.5837 7.6320 8.4203
O 7.1908 3.8139 1.2249
O 7.1908 5.2205 5.6996
O 7.3345 3.2788 7.5612
O 7.3345 5.7556 3.0865
O 8.2553 0.7629 8.1555
O 8.2553 8.2715 3.6808
O 8.4430 1.3692 1.9919
O 8.4430 7.6652 6.4666
O 9.1751 1.6011 4.6223
O 9.1751 7.4333 0.1476
O 9.6982 2.9161 0.1476
O 9.6982 6.1183 4.6223
O 10.4302 3.1480 6.4666
O 10.4302 5.8863 1.9919
O 10.6179 3.7543 3.6808
O 10.6179 5.2801 8.1555
O 11.5388 1.2384 3.0865
O 11.5388 7.7960 7.5612
O 11.6825 0.7033 5.6996
O 11.6825 8.3311 1.2249
O 12.2895 3.1148 8.4203
O 12.2895 5.9196 3.9456
```